[1]
ErSi2Pd2 after structural relaxation. Source: the Materials Project database, functional r2SCAN.

For the uncorrected energy, the calculation gives -102.18 eV per formula unit.

The structure belongs to space group I4/mmm (No. 139); the cell edges are 4.105, 4.105 and 9.930 Å and the angles 90.00°, 90.00° and 90.00°. The inequivalent atoms are Er at (0.000, 0.000, 0.000), Si at (0.000, 0.000, 0.384) and Pd at (0.000, 0.500, 0.250).


[2]
NaI after structural relaxation. Source: the Materials Project database, functional r2SCAN.

For the uncorrected energy, the calculation gives -30.79 eV per formula unit.

The structure belongs to space group I4_1/amd (No. 141, origin choice 2); the cell edges are 4.429, 4.429 and 16.728 Å and the angles 90.00°, 90.00° and 90.00°. The inequivalent atoms are Na at (0.000, 0.250, 0.375) and I at (0.000, 0.250, 0.875).


[3]
SrAu5 after structural relaxation. Source: the Materials Project database, functional r2SCAN.

For the uncorrected energy, the calculation gives -270.98 eV per formula unit.

The structure belongs to space group P6/mmm (No. 191); the cell edges are 5.6618, 5.6618 and 4.6214 Å and the angles 90.00°, 90.00° and 120.00°. The inequivalent atoms are Sr at (0.0000, 0.0000, 0.0000), Au at (0.0000, 0.5000, 0.5000) and Au at (0.3333, 0.6667, 0.0000).


Number 2 is which compound? NaI


What is the uncorrected energy in the first record? -102.18 eV per formula unit


Which value of uncorrected energy does entry 2 give? -30.79 eV per formula unit


Copy entry 3 word for word.
SrAu5 after structural relaxation. Source: the Materials Project database, functional r2SCAN.

For the uncorrected energy, the calculation gives -270.98 eV per formula unit.

The structure belongs to space group P6/mmm (No. 191); the cell edges are 5.6618, 5.6618 and 4.6214 Å and the angles 90.00°, 90.00° and 120.00°. The inequivalent atoms are Sr at (0.0000, 0.0000, 0.0000), Au at (0.0000, 0.5000, 0.5000) and Au at (0.3333, 0.6667, 0.0000).